[1]
Material: CaBr2
Method: DFT, PBE
State: optimized geometry

space group = No. 136
calculated formation energy = -695 kJ/mol of formula units

Cell: 6.854 6.854 4.423 Å, 90.00 90.00 90.00°
Fractional coordinates of all 6 atoms:
Ca 0.000 0.000 0.000
Ca 0.500 0.500 0.500
Br 0.197 0.197 0.500
Br 0.303 0.697 0.000
Br 0.697 0.303 0.000
Br 0.803 0.803 0.500



[2]
Material: Li4AuS4
Method: DFT, PBE
State: optimized geometry

space group = No. 70
calculated formation energy = -684 kJ/mol of formula units

Cell: 8.260 8.254 7.015 Å, 64.91 64.82 50.28°
Fractional coordinates of all 18 atoms:
Li 0.083 0.614 0.402
Li 0.386 0.917 0.599
Li 0.401 0.402 0.614
Li 0.402 0.401 0.083
Li 0.598 0.599 0.917
Li 0.599 0.598 0.386
Li 0.614 0.083 0.401
Li 0.917 0.386 0.598
Au 0.125 0.125 0.125
Au 0.875 0.875 0.875
S 0.226 0.228 0.716
S 0.228 0.226 0.330
S 0.284 0.670 0.774
S 0.330 0.716 0.228
S 0.670 0.284 0.772
S 0.716 0.330 0.226
S 0.772 0.774 0.670
S 0.774 0.772 0.284



[3]
Material: Sr2Mg
Method: DFT, PBE
State: optimized geometry

space group = No. 12
calculated formation energy = -6 kJ/mol of formula units

Cell: 7.835 7.835 8.454 Å, 106.26 106.26 31.18°
Fractional coordinates of all 6 atoms:
Sr 0.142 0.142 0.068
Sr 0.143 0.143 0.575
Sr 0.857 0.857 0.425
Sr 0.858 0.858 0.932
Mg 0.496 0.496 0.749
Mg 0.504 0.504 0.251



[4]
Material: SrNiGe
Method: DFT, PBE
State: optimized geometry

space group = No. 62
calculated formation energy = -149 kJ/mol of formula units

Cell: 5.745 4.186 11.400 Å, 90.00 90.00 90.00°
Fractional coordinates of all 12 atoms:
Sr 0.120 0.250 0.144
Sr 0.380 0.750 0.644
Sr 0.620 0.250 0.356
Sr 0.880 0.750 0.856
Ni 0.100 0.250 0.456
Ni 0.400 0.750 0.956
Ni 0.600 0.250 0.044
Ni 0.900 0.750 0.544
Ge 0.135 0.750 0.372
Ge 0.365 0.250 0.872
Ge 0.635 0.750 0.128
Ge 0.865 0.250 0.628



[5]
Material: FeSb2
Method: DFT, PBE
State: optimized geometry

space group = No. 140
calculated formation energy = 10 kJ/mol of formula units

Cell: 5.411 5.411 5.411 Å, 106.09 106.09 116.46°
Fractional coordinates of all 6 atoms:
Fe 0.250 0.250 0.000
Fe 0.750 0.750 0.000
Sb 0.164 0.664 0.829
Sb 0.336 0.164 0.500
Sb 0.664 0.836 0.500
Sb 0.836 0.336 0.171



[6]
Material: Li3Ti2P3O12
Method: DFT, PBE
State: optimized geometry

space group = No. 13
calculated formation energy = -5480 kJ/mol of formula units
excess energy over the best structure of this formula in the dataset = 39 meV per atom

Cell: 8.489 8.908 12.421 Å, 90.00 93.64 90.00°
Fractional coordinates of all 80 atoms:
Li 0.000 0.000 0.000
Li 0.000 0.000 0.500
Li 0.000 0.094 0.250
Li 0.000 0.906 0.750
Li 0.289 0.195 0.952
Li 0.289 0.805 0.452
Li 0.500 0.403 0.250
Li 0.500 0.500 0.000
Li 0.500 0.500 0.500
Li 0.500 0.597 0.750
Li 0.711 0.195 0.548
Li 0.711 0.805 0.048
Ti 0.210 0.499 0.354
Ti 0.210 0.501 0.854
Ti 0.287 0.005 0.642
Ti 0.287 0.995 0.142
Ti 0.713 0.005 0.858
Ti 0.713 0.995 0.358
Ti 0.790 0.499 0.146
Ti 0.790 0.501 0.646
P 0.000 0.200 0.750
P 0.000 0.800 0.250
P 0.156 0.354 0.103
P 0.156 0.646 0.603
P 0.350 0.148 0.397
P 0.350 0.852 0.897
P 0.500 0.296 0.750
P 0.500 0.704 0.250
P 0.650 0.148 0.103
P 0.650 0.852 0.603
P 0.844 0.354 0.397
P 0.844 0.646 0.897
O 0.013 0.415 0.399
O 0.013 0.585 0.899
O 0.064 0.091 0.663
O 0.064 0.909 0.163
O 0.130 0.294 0.809
O 0.130 0.706 0.309
O 0.142 0.179 0.088
O 0.142 0.821 0.588
O 0.248 0.400 0.208
O 0.248 0.600 0.708
O 0.250 0.066 0.480
O 0.250 0.934 0.980
O 0.254 0.407 0.008
O 0.254 0.593 0.508
O 0.276 0.097 0.286
O 0.276 0.903 0.786
O 0.350 0.321 0.411
O 0.350 0.679 0.911
O 0.378 0.197 0.687
O 0.378 0.803 0.187
O 0.430 0.402 0.835
O 0.430 0.598 0.335
O 0.473 0.104 0.088
O 0.473 0.896 0.588
O 0.527 0.104 0.412
O 0.527 0.896 0.912
O 0.570 0.402 0.665
O 0.570 0.598 0.165
O 0.622 0.197 0.813
O 0.622 0.803 0.313
O 0.650 0.321 0.089
O 0.650 0.679 0.589
O 0.724 0.097 0.214
O 0.724 0.903 0.714
O 0.746 0.407 0.492
O 0.746 0.593 0.992
O 0.750 0.066 0.020
O 0.750 0.934 0.520
O 0.752 0.400 0.292
O 0.752 0.600 0.792
O 0.858 0.179 0.412
O 0.858 0.821 0.912
O 0.870 0.294 0.691
O 0.870 0.706 0.191
O 0.936 0.091 0.837
O 0.936 0.909 0.337
O 0.987 0.415 0.101
O 0.987 0.585 0.601



[7]
Material: DyP2H5O10
Method: DFT, PBE
State: optimized geometry

space group = No. 1
calculated formation energy = -3889 kJ/mol of formula units

Cell: 6.453 6.952 10.002 Å, 81.50 81.34 88.80°
Fractional coordinates of all 36 atoms:
Dy 0.000 0.000 0.000
Dy 0.262 0.479 0.082
P 0.436 0.972 0.106
P 0.573 0.601 0.751
P 0.689 0.879 0.331
P 0.826 0.506 0.976
H 0.005 0.046 0.698
H 0.247 0.456 0.384
H 0.355 0.225 0.806
H 0.398 0.006 0.777
H 0.479 0.536 0.329
H 0.608 0.916 0.553
H 0.654 0.564 0.529
H 0.782 0.946 0.754
H 0.863 0.474 0.305
H 0.910 0.254 0.277
O 0.127 0.752 0.516
O 0.135 0.930 0.511
O 0.289 0.098 0.809
O 0.292 0.151 0.100
O 0.296 0.809 0.078
O 0.358 0.470 0.306
O 0.388 0.509 0.849
O 0.475 0.918 0.264
O 0.565 0.821 0.706
O 0.610 0.488 0.624
O 0.617 0.482 0.067
O 0.644 0.996 0.015
O 0.650 0.991 0.457
O 0.699 0.659 0.375
O 0.787 0.559 0.818
O 0.873 0.972 0.232
O 0.901 0.013 0.779
O 0.964 0.670 0.004
O 0.970 0.328 0.982
O 0.974 0.382 0.273



[8]
Material: DyGa2Co3
Method: DFT, PBE
State: optimized geometry

space group = No. 65
calculated formation energy = -217 kJ/mol of formula units

Cell: 8.958 8.958 3.858 Å, 90.00 90.00 120.08°
Fractional coordinates of all 18 atoms:
Dy 0.000 0.000 0.000
Dy 0.333 0.667 0.500
Dy 0.667 0.333 0.500
Ga 0.000 0.311 0.500
Ga 0.000 0.689 0.500
Ga 0.311 0.000 0.500
Ga 0.311 0.311 0.500
Ga 0.689 0.000 0.500
Ga 0.689 0.689 0.500
Co 0.000 0.500 0.000
Co 0.183 0.366 0.000
Co 0.183 0.817 0.000
Co 0.366 0.183 0.000
Co 0.500 0.000 0.000
Co 0.500 0.500 0.000
Co 0.634 0.817 0.000
Co 0.817 0.183 0.000
Co 0.817 0.634 0.000



[9]
Material: MgSi
Method: DFT, PBE
State: optimized geometry

space group = No. 1
calculated formation energy = 27 kJ/mol of formula units

Cell: 4.750 5.097 10.358 Å, 98.61 101.52 102.94°
Fractional coordinates of all 12 atoms:
Mg 0.000 0.000 0.000
Mg 0.084 0.371 0.285
Mg 0.244 0.517 0.578
Mg 0.483 0.926 0.263
Mg 0.600 0.342 0.891
Mg 0.687 0.093 0.600
Si 0.096 0.967 0.439
Si 0.204 0.551 0.003
Si 0.395 0.794 0.836
Si 0.539 0.392 0.164
Si 0.693 0.568 0.427
Si 0.828 0.674 0.733



[10]
Material: Ge3Sb2Te6
Method: DFT, PBE
State: optimized geometry

space group = No. 12
calculated formation energy = -281 kJ/mol of formula units

Cell: 7.434 7.434 8.572 Å, 106.33 106.33 48.41°
Fractional coordinates of all 11 atoms:
Ge 0.000 0.000 0.000
Ge 0.329 0.329 0.168
Ge 0.671 0.671 0.832
Sb 0.333 0.333 0.663
Sb 0.667 0.667 0.337
Te 0.165 0.165 0.324
Te 0.168 0.168 0.844
Te 0.500 0.500 0.000
Te 0.500 0.500 0.500
Te 0.832 0.832 0.156
Te 0.835 0.835 0.676



[11]
Material: Ho3Pt
Method: DFT, PBE
State: optimized geometry

space group = No. 62
calculated formation energy = -277 kJ/mol of formula units

Cell: 6.994 9.527 6.464 Å, 90.00 90.00 90.00°
Fractional coordinates of all 16 atoms:
Ho 0.028 0.250 0.131
Ho 0.182 0.060 0.676
Ho 0.182 0.440 0.676
Ho 0.318 0.560 0.176
Ho 0.318 0.940 0.176
Ho 0.472 0.750 0.631
Ho 0.528 0.250 0.369
Ho 0.682 0.060 0.824
Ho 0.682 0.440 0.824
Ho 0.818 0.560 0.324
Ho 0.818 0.940 0.324
Ho 0.972 0.750 0.869
Pt 0.110 0.750 0.445
Pt 0.390 0.250 0.945
Pt 0.610 0.750 0.055
Pt 0.890 0.250 0.555



[12]
Material: BiTeIr
Method: DFT, PBE
State: optimized geometry

space group = No. 198
calculated formation energy = -67 kJ/mol of formula units
largest piezoelectric modulus = 0.1 C/m2

Cell: 6.618 6.618 6.618 Å, 90.00 90.00 90.00°
Fractional coordinates of all 12 atoms:
Bi 0.131 0.131 0.131
Bi 0.369 0.869 0.631
Bi 0.631 0.369 0.869
Bi 0.869 0.631 0.369
Te 0.127 0.373 0.627
Te 0.373 0.627 0.127
Te 0.627 0.127 0.373
Te 0.873 0.873 0.873
Ir 0.006 0.506 0.994
Ir 0.494 0.494 0.494
Ir 0.506 0.994 0.006
Ir 0.994 0.006 0.506